Compound: Li7Mn2Co3O12
Source: the Materials Project
Functional: GGA+U
Structure: relaxed

CIF file:
```
data_Li7Mn2Co3O12
_symmetry_space_group_name_H-M 'P 1'
_symmetry_Int_Tables_number 1
_symmetry_space_group_name_Hall 'P 1'
_cell_length_a 5.190
_cell_length_b 5.737
_cell_length_c 7.706
_cell_angle_alpha 100.72
_cell_angle_beta 107.81
_cell_angle_gamma 90.01
loop_
_atom_site_label
_atom_site_type_symbol
_atom_site_fract_x
_atom_site_fract_y
_atom_site_fract_z
_atom_site_occupancy
Li1 Li 0.000 0.000 0.000 1
Li2 Li 0.000 0.499 0.000 1
Li3 Li 0.313 0.827 0.311 1
Li4 Li 0.330 0.327 0.310 1
Li5 Li 0.490 0.248 0.990 1
Li6 Li 0.652 0.662 0.657 1
Li7 Li 0.658 0.167 0.663 1
Mn1 Mn 0.156 0.414 0.660 1
Mn2 Mn 0.161 0.915 0.660 1
Co1 Co 0.489 0.747 0.991 1
Co2 Co 0.816 0.079 0.311 1
Co3 Co 0.818 0.575 0.312 1
O1 O 0.062 0.700 0.800 1
O2 O 0.071 0.200 0.805 1
O3 O 0.228 0.626 0.506 1
O4 O 0.241 0.128 0.513 1
O5 O 0.435 0.022 0.155 1
O6 O 0.438 0.555 0.157 1
O7 O 0.525 0.467 0.820 1
O8 O 0.527 0.942 0.819 1
O9 O 0.771 0.371 0.493 1
O10 O 0.781 0.873 0.485 1
O11 O 0.910 0.789 0.157 1
O12 O 0.921 0.293 0.175 1
```

Calculated values
Its crystal system is triclinic. The theoretical density is 4.09 Mg/m³. For the volume, the calculation gives 8.93 A^3/atom. The formation energy is -45.4 eV per formula unit.

=====

Compound: Li5Mn3Co2O10
Source: the Materials Project
Functional: GGA+U
Structure: relaxed

CIF file:
```
data_Li5Mn3Co2O10
_symmetry_space_group_name_H-M 'P -1'
_symmetry_Int_Tables_number 2
_symmetry_space_group_name_Hall '-P 1'
_cell_length_a 5.240
_cell_length_b 5.251
_cell_length_c 7.720
_cell_angle_alpha 104.54
_cell_angle_beta 107.96
_cell_angle_gamma 99.37
loop_
_atom_site_label
_atom_site_type_symbol
_atom_site_fract_x
_atom_site_fract_y
_atom_site_fract_z
_atom_site_occupancy
Li1 Li 0.000 0.000 0.000 1
Li2 Li 0.221 0.106 0.718 1
Li3 Li 0.410 0.716 0.912 1
Mn1 Mn 0.000 0.500 0.500 1
Mn2 Mn 0.393 0.196 0.396 1
Co1 Co 0.207 0.594 0.185 1
O1 O 0.027 0.261 0.271 1
O2 O 0.189 0.369 0.957 1
O3 O 0.216 0.817 0.452 1
O4 O 0.389 0.955 0.163 1
O5 O 0.407 0.428 0.645 1
```

Calculated values
Its crystal system is triclinic. The theoretical density is 4.20 Mg/m³. For the volume, the calculation gives 9.44 A^3/atom. The formation energy is -38.4 eV per formula unit.

=====

Compound: Li3Mn3CoO8
Source: the Materials Project
Functional: GGA+U
Structure: relaxed

CIF file:
```
data_Li3Mn3CoO8
_symmetry_space_group_name_H-M 'P -1'
_symmetry_Int_Tables_number 2
_symmetry_space_group_name_Hall '-P 1'
_cell_length_a 5.831
_cell_length_b 5.840
_cell_length_c 10.235
_cell_angle_alpha 75.83
_cell_angle_beta 75.66
_cell_angle_gamma 62.05
loop_
_atom_site_label
_atom_site_type_symbol
_atom_site_fract_x
_atom_site_fract_y
_atom_site_fract_z
_atom_site_occupancy
Li1 Li 0.237 0.257 0.252 1
Li2 Li 0.239 0.253 0.753 1
Li3 Li 0.240 0.742 0.257 1
Mn1 Mn 0.000 0.000 0.000 1
Mn2 Mn 0.000 0.000 0.500 1
Mn3 Mn 0.000 0.500 0.000 1
Mn4 Mn 0.500 0.000 0.500 1
Mn5 Mn 0.500 0.500 0.000 1
Mn6 Mn 0.500 0.500 0.500 1
Co1 Co 0.000 0.500 0.500 1
Co2 Co 0.500 0.000 0.000 1
O1 O 0.101 0.155 0.610 1
O2 O 0.115 0.614 0.123 1
O3 O 0.123 0.146 0.105 1
O4 O 0.129 0.643 0.602 1
O5 O 0.350 0.901 0.386 1
O6 O 0.354 0.374 0.398 1
O7 O 0.357 0.376 0.894 1
O8 O 0.368 0.869 0.896 1
```

Calculated values
Its crystal system is triclinic. The theoretical density is 4.20 Mg/m³. For the volume, the calculation gives 9.83 A^3/atom. The formation energy is -29.2 eV per formula unit.

=====

Number 1: magnetic moment 8.00 μB/f.u.. Number 2: magnetic moment 20.00 μB/f.u.. Number 3: magnetic moment 1.01 μB/f.u..